Entry 1:
## Na2HoMoPO8 (PBE+U)

Data for a relaxed Na2HoMoPO8 crystal.

Lattice parameters (Å, degrees): 6.9320 12.1882 18.1834 90.00 90.00 90.00
Last column: nearest neighbours and their distance in Å.
Space group Ibca (No. 73)
One atom of each set of equivalent atoms:
Na 0.0109 0.0562 0.1531 (multiplicity 16)  3 O 2.31-2.46
Ho 0.2500 0.1780 0.5000 (multiplicity 8)  8 O 2.29-2.44
Mo 0.0000 0.2500 0.3221 (multiplicity 8)  4 O 1.78-1.81
P 0.2500 0.0691 0.0000 (multiplicity 8)  4 O 1.55-1.56
O 0.0422 0.1301 0.7682 (multiplicity 16)  1 Mo 1.78
O 0.0751 0.1486 0.0080 (multiplicity 16)  1 P 1.56
O 0.2101 0.2251 0.3793 (multiplicity 16)  1 Mo 1.81
O 0.2372 0.0070 0.5680 (multiplicity 16)  1 P 1.55

Properties
energy with MP2020 corrections = -7.628 eV/atom



Entry 2:
## Ho2Mo4O15 (PBE+U)

Data for a relaxed Ho2Mo4O15 crystal.

Lattice parameters (Å, degrees): 6.9236 9.6876 10.7608 90.00 104.87 90.00
Last column: nearest neighbours and their distance in Å.
Space group P2_1/c (No. 14)
One atom of each set of equivalent atoms:
Ho 0.2071 0.0232 0.2747 (multiplicity 4)  7 O 2.26-2.37
Mo 0.0793 0.7427 0.0096 (multiplicity 4)  4 O 1.78-1.82
Mo 0.3823 0.0945 0.8436 (multiplicity 4)  4 O 1.77-1.91
O 0.0295 0.1265 0.3993 (multiplicity 4)  1 Mo 1.78
O 0.1157 0.1655 0.1014 (multiplicity 4)  1 Mo 1.79
O 0.1253 0.0516 0.8139 (multiplicity 4)  1 Mo 1.77
O 0.2188 0.6495 0.9180 (multiplicity 4)  1 Mo 1.79
O 0.2403 0.6363 0.6175 (multiplicity 4)  1 Mo 1.82
O 0.3849 0.2226 0.3492 (multiplicity 4)  1 Mo 1.77
O 0.4570 0.0271 0.7094 (multiplicity 4)  1 Mo 1.78
O 0.5000 0.0000 0.0000 (multiplicity 2)  2 Mo 1.91

Properties
energy with MP2020 corrections = -8.561 eV/atom



Entry 3:
## HoMo2O6 (PBE+U)

Data for a relaxed HoMo2O6 crystal.

Lattice parameters (Å, degrees): 5.3799 7.8337 5.6341 90.00 90.15 90.00
Last column: nearest neighbours and their distance in Å.
Space group Pm (No. 6)
One atom of each set of equivalent atoms:
Ho 0.0000 0.0000 0.0000 (multiplicity 1)  6 O 2.22-2.47
Ho 0.4928 0.5000 0.6469 (multiplicity 1)  6 O 2.22-2.46
Mo 0.0100 0.2510 0.5662 (multiplicity 2)  6 O 1.91-2.06
Mo 0.5138 0.2506 0.0898 (multiplicity 2)  6 O 1.99-2.13
O 0.0966 0.0000 0.6133 (multiplicity 1)  2 Mo 2.04, 1 Ho 2.24
O 0.2196 0.2928 0.8461 (multiplicity 2)  2 Mo 1.96-2.12
O 0.3346 0.3079 0.3886 (multiplicity 2)  2 Mo 1.99-2.06
O 0.4004 0.0000 0.0981 (multiplicity 1)  2 Mo 2.06, 1 Ho 2.22
O 0.5907 0.5000 0.0372 (multiplicity 1)  2 Mo 2.02, 1 Ho 2.26
O 0.7296 0.2066 0.7933 (multiplicity 2)  2 Mo 2.01-2.07
O 0.8492 0.1930 0.2741 (multiplicity 2)  2 Mo 1.91-2.13
O 0.8925 0.5000 0.5498 (multiplicity 1)  2 Mo 2.05, 1 Ho 2.22

Properties
energy with MP2020 corrections = -8.704 eV/atom



Entry 4:
## Ho4Mo4O11 (PBE+U)

Data for a relaxed Ho4Mo4O11 crystal.

Lattice parameters (Å, degrees): 10.7753 15.9878 5.7166 90.00 90.00 90.00
Last column: nearest neighbours and their distance in Å.
Space group Pbam (No. 55)
One atom of each set of equivalent atoms:
Ho 0.0766 0.0988 0.0000 (multiplicity 4)  7 O 2.25-2.41
Ho 0.0967 0.2365 0.5000 (multiplicity 4)  5 O 2.26-2.34
Ho 0.1155 0.9229 0.5000 (multiplicity 4)  5 O 2.23-2.30
Ho 0.1845 0.7771 0.0000 (multiplicity 4)  7 O 2.27-2.42
Mo 0.0834 0.4396 0.5000 (multiplicity 4)  4 O 2.06-2.18
Mo 0.0961 0.4289 0.0000 (multiplicity 4)  4 O 2.11-2.13
Mo 0.1358 0.5860 0.2248 (multiplicity 8)  5 O 2.08-2.14
O 0.0000 0.0000 0.2544 (multiplicity 4)  4 Ho 2.24-2.30
O 0.0399 0.8277 0.2527 (multiplicity 8)  4 Ho 2.23-2.28
O 0.0408 0.6671 0.0000 (multiplicity 4)  3 Mo 2.09-2.13, 1 Ho 2.34
O 0.0478 0.6544 0.5000 (multiplicity 4)  3 Mo 2.06-2.14
O 0.1897 0.3604 0.2626 (multiplicity 8)  2 Mo 2.11-2.18
O 0.2239 0.1749 0.2361 (multiplicity 8)  1 Mo 2.08, 1 Ho 2.26
O 0.2318 0.5230 0.5000 (multiplicity 4)  3 Mo 2.08-2.13, 1 Ho 2.30
O 0.2477 0.5136 0.0000 (multiplicity 4)  3 Mo 2.11-2.12, 1 Ho 2.33

Properties
energy with MP2020 corrections = -8.838 eV/atom



no.,E_form (eV per atom),VASP energy (eV/cell)
1,-2.78,-723.72
2,-2.52,-313.32
3,-2.49,-135.61
4,-2.73,-590.22